No. 1
# Sc4CoSi7

Crystalline Sc4CoSi7 at its relaxed geometry (PBE, the Materials Project database).

Properties
- E_form: -0.429 eV per atom
- E (MP2020): -75.6 eV for the cell shown
- Magnetization: 0.0 μB/f.u.

```
Sc4CoSi7
1.0
-0.352 -3.620 0.130
3.543 -0.399 -1.502
5.504 -0.067 12.998
Sc Co Si
4 1 7
Direct
0.000 0.000 0.109
0.000 0.500 0.596
0.500 0.500 0.414
0.500 0.000 0.899
0.000 0.000 0.409
0.000 0.500 0.270
0.000 0.000 0.743
0.500 0.000 0.272
0.500 0.500 0.753
0.000 0.500 0.942
0.500 0.500 0.054
0.500 0.000 0.539
```



No. 2
# Sc5Co6Sn18

Crystalline Sc5Co6Sn18 at its relaxed geometry (PBE, the Materials Project database).

Properties
- E_form: -0.316 eV per atom
- Magnetization: 0.2 μB/f.u.

```
Sc5Co6Sn18
1.0
13.522 0.000 0.000
0.000 13.522 0.000
-6.761 -6.761 13.381
Sc Co Sn
20 24 72
Direct
0.625 0.875 0.250
0.125 0.375 0.250
0.375 0.125 0.750
0.875 0.625 0.750
0.060 0.809 0.383
0.823 0.309 0.383
0.309 0.560 0.883
0.074 0.060 0.883
0.940 0.191 0.617
0.177 0.691 0.617
0.691 0.440 0.117
0.926 0.940 0.117
0.560 0.574 0.383
0.323 0.074 0.383
0.809 0.323 0.883
0.574 0.823 0.883
0.440 0.426 0.617
0.677 0.926 0.617
0.191 0.677 0.117
0.426 0.177 0.117
0.369 0.874 0.250
0.381 0.374 0.250
0.374 0.869 0.750
0.876 0.369 0.750
0.631 0.126 0.750
0.619 0.626 0.750
0.626 0.131 0.250
0.124 0.631 0.250
0.869 0.376 0.250
0.881 0.876 0.250
0.874 0.881 0.750
0.376 0.381 0.750
0.131 0.624 0.750
0.119 0.124 0.750
0.126 0.119 0.250
0.624 0.619 0.250
0.247 0.997 0.494
0.747 0.497 0.494
0.497 0.747 0.994
0.997 0.247 0.994
0.753 0.003 0.506
0.253 0.503 0.506
0.503 0.253 0.006
0.003 0.753 0.006
0.298 0.548 0.250
0.452 0.048 0.250
0.048 0.798 0.750
0.202 0.298 0.750
0.702 0.452 0.750
0.548 0.952 0.750
0.952 0.202 0.250
0.798 0.702 0.250
0.367 0.793 0.078
0.211 0.293 0.078
0.293 0.867 0.578
0.785 0.367 0.578
0.633 0.207 0.922
0.789 0.707 0.922
0.707 0.133 0.422
0.215 0.633 0.422
0.867 0.285 0.078
0.711 0.785 0.078
0.793 0.711 0.578
0.285 0.211 0.578
0.133 0.715 0.922
0.289 0.215 0.922
0.207 0.289 0.422
0.715 0.789 0.422
0.538 0.957 0.422
0.384 0.457 0.422
0.457 0.038 0.922
0.965 0.538 0.922
0.462 0.043 0.578
0.616 0.543 0.578
0.543 0.962 0.078
0.035 0.462 0.078
0.038 0.465 0.422
0.884 0.965 0.422
0.957 0.884 0.922
0.465 0.384 0.922
0.962 0.535 0.578
0.116 0.035 0.578
0.043 0.116 0.078
0.535 0.616 0.078
0.451 0.701 0.250
0.299 0.201 0.250
0.201 0.951 0.750
0.049 0.451 0.750
0.549 0.299 0.750
0.701 0.799 0.750
0.799 0.049 0.250
0.951 0.549 0.250
0.258 0.830 0.339
0.581 0.330 0.339
0.330 0.758 0.839
0.009 0.258 0.839
0.742 0.170 0.661
0.419 0.670 0.661
0.670 0.242 0.161
0.991 0.742 0.161
0.758 0.509 0.339
0.081 0.009 0.339
0.830 0.081 0.839
0.509 0.581 0.839
0.242 0.491 0.661
0.919 0.991 0.661
0.170 0.919 0.161
0.491 0.419 0.161
0.250 0.969 0.000
0.250 0.469 0.000
0.469 0.750 0.500
0.531 0.250 0.500
0.750 0.031 0.000
0.750 0.531 0.000
0.969 0.750 0.500
0.031 0.250 0.500
```



No. 3
# Sc6CoTe2

Crystalline Sc6CoTe2 at its relaxed geometry (PBE, the Materials Project database).

Properties
- E_form: -0.758 eV per atom
- E (MP2020): -58.2 eV for the cell shown

```
Sc6CoTe2
1.0
2.454 -2.494 -1.312
1.382 4.585 -6.129
4.245 0.774 6.471
Sc Co Te
6 1 2
Direct
0.500 0.765 0.765
0.500 0.000 0.235
0.500 0.235 0.000
0.000 0.387 0.387
0.000 0.000 0.613
0.000 0.613 0.000
0.000 0.000 0.000
0.500 0.667 0.333
0.500 0.333 0.667
```



No. 4
# Co9Se8

Crystalline Co9Se8 at its relaxed geometry (PBE, the Materials Project database).

Properties
- E_form: -0.497 eV per atom
- E (MP2020): -100.4 eV for the cell shown

```
Co9Se8
1.0
0.000 5.171 5.171
5.171 0.000 5.171
5.171 5.171 0.000
Co Se
9 8
Direct
0.500 0.500 0.500
0.877 0.370 0.877
0.123 0.123 0.630
0.630 0.123 0.123
0.123 0.123 0.123
0.370 0.877 0.877
0.877 0.877 0.877
0.877 0.877 0.370
0.123 0.630 0.123
0.750 0.750 0.750
0.250 0.250 0.250
0.264 0.264 0.736
0.264 0.736 0.736
0.736 0.264 0.264
0.264 0.736 0.264
0.736 0.264 0.736
0.736 0.736 0.264
```



No. 5
# CoSe

Crystalline CoSe at its relaxed geometry (PBE, the Materials Project database).

Properties
- E_form: -0.380 eV per atom
- E (MP2020): -22.7 eV for the cell shown
- Magnetization: 0.0 μB/f.u.

```
CoSe
1.0
-3.259 -0.928 -1.238
1.409 -1.723 2.839
-2.203 3.468 3.199
Co Se
2 2
Direct
0.000 0.000 0.000
0.000 0.000 0.500
0.333 0.667 0.250
0.667 0.333 0.750
```



No. 6
# CoSe2

Crystalline CoSe2 at its relaxed geometry (PBE, the Materials Project database).

Properties
- E_form: -0.612 eV per atom
- E (MP2020): -31.9 eV for the cell shown

```
CoSe2
1.0
3.643 0.000 0.000
0.000 4.896 0.000
0.000 0.000 5.821
Co Se
2 4
Direct
0.000 0.000 0.000
0.500 0.500 0.500
0.000 0.218 0.369
0.000 0.782 0.631
0.500 0.718 0.131
0.500 0.282 0.869
```



No. 7
# CoSe2

Crystalline CoSe2 at its relaxed geometry (PBE, the Materials Project database).

Properties
- E_form: -0.597 eV per atom
- E (MP2020): -63.6 eV for the cell shown

```
CoSe2
1.0
-0.962 0.692 -5.721
4.802 -3.110 -1.184
-3.186 -4.897 -0.056
Co Se
4 8
Direct
0.000 0.000 0.000
0.500 0.000 0.500
0.500 0.500 0.000
0.000 0.500 0.500
0.373 0.373 0.373
0.127 0.627 0.873
0.873 0.127 0.627
0.627 0.873 0.127
0.627 0.627 0.627
0.873 0.373 0.127
0.127 0.873 0.373
0.373 0.127 0.873
```



No. 8
# Co17Se20

Crystalline Co17Se20 at its relaxed geometry (PBE, the Materials Project database).

Properties
- E_form: -0.483 eV per atom
- E (MP2020): -417.3 eV for the cell shown
- Magnetization: 5.0 μB/f.u.

```
Co17Se20
1.0
8.317 -6.154 0.362
-9.408 -4.255 -2.957
4.770 5.601 -9.948
Co Se
34 40
Direct
0.904 0.304 0.195
0.902 0.303 0.706
0.055 0.113 0.389
0.300 0.101 0.400
0.032 0.091 0.893
0.300 0.099 0.900
0.455 0.911 0.589
0.700 0.899 0.600
0.429 0.889 0.091
0.599 0.699 0.800
0.700 0.901 0.100
0.769 0.510 0.506
0.854 0.707 0.786
0.753 0.489 0.006
0.096 0.696 0.805
0.833 0.695 0.295
0.098 0.697 0.294
0.167 0.305 0.705
0.247 0.511 0.994
0.146 0.293 0.214
0.500 0.500 0.000
0.231 0.490 0.494
0.401 0.301 0.200
0.500 0.500 0.500
0.571 0.111 0.909
0.655 0.306 0.185
0.545 0.089 0.411
0.632 0.296 0.696
0.800 0.101 0.401
0.968 0.909 0.107
0.945 0.887 0.611
0.200 0.899 0.599
0.368 0.704 0.304
0.345 0.694 0.815
0.620 0.501 0.165
0.015 0.303 0.368
0.169 0.096 0.734
0.330 0.897 0.269
0.417 0.101 0.567
0.326 0.900 0.768
0.472 0.699 0.632
0.571 0.899 0.936
0.730 0.698 0.470
0.816 0.901 0.767
0.471 0.701 0.130
0.629 0.503 0.663
0.728 0.702 0.968
0.862 0.497 0.830
0.967 0.697 0.135
0.131 0.498 0.672
0.213 0.697 0.969
0.869 0.502 0.328
0.033 0.303 0.865
0.138 0.503 0.170
0.272 0.298 0.032
0.371 0.497 0.337
0.529 0.299 0.870
0.184 0.099 0.233
0.270 0.302 0.530
0.429 0.101 0.064
0.528 0.301 0.368
0.674 0.100 0.232
0.769 0.298 0.536
0.931 0.099 0.069
0.583 0.899 0.433
0.670 0.103 0.731
0.831 0.904 0.266
0.928 0.103 0.568
0.072 0.897 0.432
0.985 0.697 0.632
0.069 0.901 0.931
0.231 0.702 0.464
0.380 0.499 0.835
0.787 0.303 0.031
```



No. 9
# CoSe

Crystalline CoSe at its relaxed geometry (PBE, the Materials Project database).

Properties
- E_form: -0.505 eV per atom
- E (MP2020): -23.2 eV for the cell shown

```
CoSe
1.0
3.679 0.000 0.000
0.000 3.679 0.000
0.000 0.000 5.646
Co Se
2 2
Direct
0.000 0.000 0.000
0.500 0.500 0.000
0.500 0.000 0.752
0.000 0.500 0.248
```



No. 10
# Co3Se4

Crystalline Co3Se4 at its relaxed geometry (PBE, the Materials Project database).

Properties
- E above lowest polymorph: 17 meV/atom
- E_form: -0.542 eV per atom
- E (MP2020): -39.1 eV for the cell shown

```
Co3Se4
1.0
-1.882 2.000 -2.288
-3.901 1.510 4.529
5.697 2.362 0.171
Co Se
3 4
Direct
0.761 0.781 0.522
0.239 0.219 0.478
0.500 0.500 0.000
0.134 0.476 0.268
0.866 0.524 0.732
0.622 0.956 0.245
0.378 0.044 0.755
```



No. 11
# Co3Se4

Crystalline Co3Se4 at its relaxed geometry (PBE, the Materials Project database).

Properties
- E above lowest polymorph: 0 meV/atom
- E_form: -0.558 eV per atom
- E (MP2020): -78.4 eV for the cell shown

```
Co3Se4
1.0
0.000 4.927 4.927
4.927 0.000 4.927
4.927 4.927 0.000
Co Se
6 8
Direct
0.750 0.750 0.750
0.500 0.500 0.500
0.125 0.125 0.125
0.625 0.125 0.125
0.125 0.625 0.125
0.125 0.125 0.625
0.882 0.882 0.882
0.897 0.368 0.368
0.368 0.897 0.368
0.368 0.368 0.897
0.882 0.353 0.882
0.882 0.882 0.353
0.353 0.882 0.882
0.368 0.368 0.368
```



No. 12
# CoSe2

Crystalline CoSe2 at its relaxed geometry (PBE, the Materials Project database).

Properties
- E_form: -0.579 eV per atom
- E (MP2020): -63.3 eV for the cell shown

```
CoSe2
1.0
-5.684 -3.921 0.194
-6.146 2.886 1.274
-4.701 0.480 -5.039
Co Se
4 8
Direct
0.625 0.625 0.625
0.125 0.625 0.625
0.625 0.125 0.625
0.625 0.625 0.125
0.868 0.395 0.868
0.382 0.382 0.855
0.855 0.382 0.382
0.382 0.382 0.382
0.395 0.868 0.868
0.868 0.868 0.868
0.868 0.868 0.395
0.382 0.855 0.382
```



Ρ values (in Mg/m³) by entry order: 3.638; 7.372; 4.952; 6.979; 7.803; 6.937; 7.222; 7.514; 5.992; 7.217; 6.841; 6.179.